1.
This record from the Materials Project describes an optimized crystal structure of NaLi5Mn2P2C2O14. The functional is PBE with a Hubbard U.

abc: 6.635 8.656 9.986
angles: 91.55 90.08 90.44
Fractional coordinates of all 52 atoms:
Na1 0.000 0.000 0.000
Na2 0.255 0.834 0.249
Li1 0.022 0.013 0.511
Li2 0.259 0.830 0.749
Li3 0.481 0.015 0.512
Li4 0.485 0.016 0.008
Li5 0.518 0.488 0.743
Li6 0.522 0.485 0.241
Li7 0.744 0.664 0.001
Li8 0.752 0.666 0.501
Li9 0.982 0.485 0.241
Li10 0.987 0.489 0.743
Mn1 0.252 0.393 0.013
Mn2 0.253 0.398 0.514
Mn3 0.749 0.108 0.241
Mn4 0.751 0.106 0.736
P1 0.252 0.163 0.276
P2 0.257 0.157 0.772
P3 0.747 0.344 0.979
P4 0.752 0.344 0.480
C1 0.252 0.708 0.497
C2 0.260 0.697 0.985
C3 0.750 0.792 0.759
C4 0.751 0.792 0.261
O1 0.063 0.072 0.227
O2 0.067 0.062 0.726
O3 0.250 0.605 0.880
O4 0.250 0.857 0.482
O5 0.252 0.614 0.394
O6 0.253 0.326 0.723
O7 0.253 0.334 0.230
O8 0.253 0.639 0.103
O9 0.254 0.653 0.617
O10 0.257 0.166 0.433
O11 0.269 0.166 0.928
O12 0.278 0.845 0.969
O13 0.434 0.071 0.221
O14 0.436 0.062 0.715
O15 0.568 0.446 0.028
O16 0.569 0.438 0.532
O17 0.735 0.176 0.028
O18 0.746 0.891 0.859
O19 0.749 0.892 0.360
O20 0.751 0.335 0.822
O21 0.752 0.339 0.323
O22 0.752 0.644 0.785
O23 0.752 0.839 0.637
O24 0.753 0.173 0.525
O25 0.753 0.645 0.286
O26 0.753 0.839 0.138
O27 0.936 0.434 0.032
O28 0.937 0.439 0.533

Computed properties:
ΔE_f (meV per atom): -2396
M_tot (μB/f.u.): 10.00
Space-group type: P1
Relative energy among the computed polymorphs (meV per atom): 9
Crystal system: triclinic


2.
This record from the Materials Project describes an optimized crystal structure of NaLi5Mn2P2C2O14. The functional is PBE with a Hubbard U.

abc: 6.702 8.639 10.009
angles: 87.41 89.84 89.12
Fractional coordinates of all 52 atoms:
Na1 0.001 0.248 0.376
Na2 0.999 0.752 0.624
Li1 0.034 0.733 0.135
Li2 0.259 0.915 0.881
Li3 0.279 0.909 0.375
Li4 0.466 0.732 0.133
Li5 0.472 0.727 0.636
Li6 0.528 0.273 0.364
Li7 0.534 0.268 0.867
Li8 0.721 0.091 0.625
Li9 0.741 0.085 0.119
Li10 0.966 0.267 0.865
Mn1 0.251 0.354 0.643
Mn2 0.257 0.349 0.132
Mn3 0.743 0.651 0.868
Mn4 0.749 0.646 0.357
P1 0.248 0.593 0.898
P2 0.259 0.590 0.390
P3 0.741 0.410 0.610
P4 0.752 0.407 0.102
C1 0.251 0.036 0.113
C2 0.263 0.042 0.612
C3 0.737 0.958 0.388
C4 0.749 0.964 0.887
O1 0.058 0.686 0.853
O2 0.066 0.680 0.344
O3 0.245 0.891 0.083
O4 0.248 0.076 0.237
O5 0.251 0.424 0.850
O6 0.254 0.075 0.736
O7 0.254 0.153 0.519
O8 0.258 0.582 0.054
O9 0.260 0.141 0.016
O10 0.270 0.424 0.339
O11 0.271 0.578 0.546
O12 0.281 0.900 0.575
O13 0.425 0.692 0.842
O14 0.432 0.694 0.334
O15 0.568 0.306 0.666
O16 0.575 0.308 0.158
O17 0.719 0.100 0.425
O18 0.729 0.422 0.454
O19 0.730 0.576 0.661
O20 0.740 0.859 0.984
O21 0.742 0.418 0.946
O22 0.746 0.847 0.481
O23 0.746 0.925 0.264
O24 0.749 0.576 0.150
O25 0.752 0.924 0.763
O26 0.755 0.109 0.917
O27 0.934 0.320 0.656
O28 0.942 0.314 0.147

Computed properties:
ΔE_f (meV per atom): -2405
M_tot (μB/f.u.): 0.00
Space-group type: P-1
Relative energy among the computed polymorphs (meV per atom): 0
Crystal system: triclinic


3.
This record from the Materials Project describes an optimized crystal structure of NaLi5Mn2P2C2O14. The functional is PBE with a Hubbard U.

abc: 8.644 6.672 9.995
angles: 90.00 92.36 90.00
Fractional coordinates of all 52 atoms:
Na1 0.000 0.249 0.000
Na2 0.000 0.751 0.500
Li1 0.024 0.277 0.512
Li2 0.024 0.723 0.012
Li3 0.487 0.223 0.242
Li4 0.487 0.777 0.742
Li5 0.489 0.224 0.744
Li6 0.489 0.776 0.244
Li7 0.664 0.012 0.499
Li8 0.664 0.988 0.999
Li9 0.838 0.493 0.255
Li10 0.838 0.507 0.755
Mn1 0.108 0.003 0.741
Mn2 0.108 0.997 0.241
Mn3 0.403 0.498 0.017
Mn4 0.403 0.502 0.517
P1 0.163 0.495 0.276
P2 0.163 0.505 0.776
P3 0.348 0.006 0.486
P4 0.348 0.994 0.986
C1 0.711 0.490 0.488
C2 0.711 0.510 0.988
C3 0.791 0.002 0.263
C4 0.791 0.998 0.763
O1 0.063 0.320 0.730
O2 0.063 0.680 0.230
O3 0.068 0.311 0.223
O4 0.068 0.689 0.723
O5 0.176 0.486 0.432
O6 0.176 0.514 0.932
O7 0.180 0.021 0.534
O8 0.180 0.979 0.034
O9 0.330 0.498 0.724
O10 0.330 0.502 0.224
O11 0.337 0.001 0.329
O12 0.337 0.999 0.829
O13 0.436 0.181 0.040
O14 0.436 0.819 0.540
O15 0.451 0.185 0.535
O16 0.451 0.815 0.035
O17 0.605 0.494 0.893
O18 0.605 0.506 0.393
O19 0.646 0.001 0.293
O20 0.646 0.999 0.793
O21 0.674 0.499 0.113
O22 0.674 0.501 0.613
O23 0.832 0.004 0.139
O24 0.832 0.996 0.639
O25 0.854 0.465 0.456
O26 0.854 0.535 0.956
O27 0.897 0.001 0.859
O28 0.897 0.999 0.359

Computed properties:
ΔE_f (meV per atom): -2401
M_tot (μB/f.u.): 10.00
Space-group type: Pc
Relative energy among the computed polymorphs (meV per atom): 3
Crystal system: monoclinic


4.
This record from the Materials Project describes an optimized crystal structure of NaLi5Mn2P2C2O14. The functional is PBE with a Hubbard U.

abc: 8.641 6.676 9.987
angles: 90.00 92.41 90.00
Fractional coordinates of all 52 atoms:
Na1 0.248 0.000 0.374
Na2 0.752 0.500 0.626
Li1 0.087 0.245 0.629
Li2 0.087 0.262 0.126
Li3 0.266 0.026 0.882
Li4 0.266 0.475 0.883
Li5 0.269 0.475 0.386
Li6 0.731 0.975 0.614
Li7 0.734 0.526 0.118
Li8 0.734 0.975 0.117
Li9 0.913 0.745 0.371
Li10 0.913 0.762 0.874
Mn1 0.350 0.750 0.110
Mn2 0.354 0.746 0.615
Mn3 0.646 0.246 0.385
Mn4 0.650 0.250 0.890
P1 0.406 0.245 0.647
P2 0.408 0.256 0.143
P3 0.592 0.756 0.857
P4 0.594 0.745 0.353
C1 0.039 0.750 0.135
C2 0.044 0.760 0.639
C3 0.956 0.260 0.361
C4 0.961 0.250 0.865
O1 0.081 0.753 0.012
O2 0.081 0.755 0.515
O3 0.099 0.283 0.329
O4 0.107 0.248 0.837
O5 0.143 0.748 0.233
O6 0.150 0.740 0.735
O7 0.304 0.062 0.605
O8 0.311 0.435 0.085
O9 0.312 0.069 0.098
O10 0.314 0.429 0.592
O11 0.418 0.268 0.299
O12 0.420 0.255 0.804
O13 0.423 0.753 0.904
O14 0.428 0.733 0.406
O15 0.572 0.233 0.594
O16 0.577 0.253 0.096
O17 0.580 0.755 0.196
O18 0.582 0.768 0.701
O19 0.686 0.929 0.408
O20 0.688 0.569 0.902
O21 0.689 0.935 0.915
O22 0.696 0.562 0.395
O23 0.850 0.240 0.265
O24 0.857 0.248 0.767
O25 0.893 0.748 0.163
O26 0.901 0.783 0.671
O27 0.919 0.253 0.988
O28 0.919 0.255 0.485

Computed properties:
ΔE_f (meV per atom): -2402
M_tot (μB/f.u.): 10.00
Space-group type: P2_1
Relative energy among the computed polymorphs (meV per atom): 3
Crystal system: monoclinic


5.
This record from the Materials Project describes an optimized crystal structure of Na5LiMn2P2C2O14. The functional is PBE with a Hubbard U.

abc: 5.160 8.961 13.625
angles: 90.24 90.12 90.20
Fractional coordinates of all 52 atoms:
Na1 0.000 0.000 0.000
Na2 0.000 0.000 0.248
Na3 0.000 0.000 0.500
Na4 0.000 0.000 0.748
Na5 0.008 0.657 0.372
Na6 0.488 0.824 0.125
Na7 0.488 0.825 0.624
Na8 0.495 0.483 0.497
Na9 0.495 0.483 0.750
Na10 0.495 0.483 0.999
Li1 0.004 0.656 0.874
Li2 0.488 0.475 0.253
Mn1 0.025 0.381 0.624
Mn2 0.026 0.382 0.125
Mn3 0.470 0.103 0.374
Mn4 0.470 0.103 0.874
P1 0.546 0.152 0.624
P2 0.547 0.155 0.125
P3 0.950 0.335 0.874
P4 0.951 0.332 0.373
C1 0.511 0.798 0.371
C2 0.513 0.796 0.874
C3 0.983 0.681 0.125
C4 0.983 0.682 0.624
O1 0.029 0.423 0.466
O2 0.031 0.429 0.784
O3 0.033 0.429 0.965
O4 0.048 0.423 0.283
O5 0.066 0.172 0.374
O6 0.072 0.176 0.874
O7 0.210 0.619 0.125
O8 0.210 0.619 0.624
O9 0.277 0.849 0.874
O10 0.285 0.862 0.374
O11 0.425 0.311 0.624
O12 0.431 0.315 0.130
O13 0.459 0.065 0.033
O14 0.462 0.060 0.716
O15 0.463 0.060 0.532
O16 0.464 0.060 0.216
O17 0.531 0.654 0.367
O18 0.554 0.654 0.874
O19 0.647 0.319 0.368
O20 0.649 0.314 0.874
O21 0.710 0.888 0.874
O22 0.718 0.882 0.374
O23 0.776 0.596 0.127
O24 0.777 0.598 0.623
O25 0.847 0.169 0.624
O26 0.849 0.170 0.124
O27 0.961 0.825 0.124
O28 0.962 0.826 0.624

Computed properties:
ΔE_f (meV per atom): -2366
M_tot (μB/f.u.): 10.00
Space-group type: P1
Relative energy among the computed polymorphs (meV per atom): 7
Crystal system: triclinic


6.
This record from the Materials Project describes an optimized crystal structure of Na5LiMn2P2C2O14. The functional is PBE with a Hubbard U.

abc: 8.966 6.769 10.348
angles: 90.00 90.07 90.00
Fractional coordinates of all 52 atoms:
Na1 0.000 0.000 0.000
Na2 0.000 0.000 0.500
Na3 0.166 0.498 0.240
Na4 0.166 0.502 0.740
Na5 0.343 0.252 0.496
Na6 0.343 0.252 0.996
Na7 0.343 0.748 0.496
Na8 0.343 0.748 0.996
Na9 0.826 0.248 0.743
Na10 0.826 0.752 0.243
Li1 0.817 0.243 0.241
Li2 0.817 0.757 0.741
Mn1 0.447 0.000 0.231
Mn2 0.447 0.000 0.731
Mn3 0.724 0.499 0.009
Mn4 0.724 0.501 0.509
P1 0.498 0.496 0.270
P2 0.498 0.504 0.770
P3 0.675 0.003 0.471
P4 0.675 0.997 0.971
C1 0.024 0.499 0.487
C2 0.024 0.501 0.987
C3 0.140 0.005 0.252
C4 0.140 0.995 0.752
O1 0.168 0.500 0.477
O2 0.168 0.500 0.977
O3 0.204 0.001 0.639
O4 0.204 0.999 0.139
O5 0.224 0.001 0.855
O6 0.224 0.999 0.355
O7 0.402 0.315 0.228
O8 0.402 0.685 0.728
O9 0.409 0.317 0.726
O10 0.409 0.683 0.226
O11 0.512 0.499 0.420
O12 0.512 0.501 0.920
O13 0.515 0.000 0.029
O14 0.515 0.000 0.529
O15 0.658 0.487 0.212
O16 0.658 0.513 0.712
O17 0.662 0.008 0.320
O18 0.662 0.992 0.820
O19 0.766 0.182 0.014
O20 0.766 0.186 0.516
O21 0.766 0.814 0.016
O22 0.766 0.818 0.514
O23 0.940 0.497 0.384
O24 0.940 0.503 0.884
O25 0.961 0.498 0.101
O26 0.961 0.502 0.601
O27 0.996 0.016 0.262
O28 0.996 0.984 0.762

Computed properties:
ΔE_f (meV per atom): -2367
M_tot (μB/f.u.): 10.00
Space-group type: Pc
Relative energy among the computed polymorphs (meV per atom): 7
Crystal system: monoclinic


7.
This record from the Materials Project describes an optimized crystal structure of NaLi5Mn2P2C2O14. The functional is PBE with a Hubbard U.

abc: 6.697 8.631 10.010
angles: 87.52 89.92 89.16
Fractional coordinates of all 52 atoms:
Na1 0.002 0.247 0.125
Na2 0.998 0.753 0.875
Li1 0.027 0.734 0.382
Li2 0.265 0.912 0.626
Li3 0.269 0.913 0.129
Li4 0.470 0.730 0.383
Li5 0.471 0.728 0.886
Li6 0.529 0.272 0.114
Li7 0.530 0.270 0.617
Li8 0.731 0.087 0.871
Li9 0.735 0.088 0.374
Li10 0.973 0.266 0.618
Mn1 0.253 0.350 0.391
Mn2 0.254 0.355 0.886
Mn3 0.746 0.645 0.114
Mn4 0.747 0.650 0.609
P1 0.253 0.592 0.642
P2 0.254 0.592 0.146
P3 0.746 0.408 0.854
P4 0.747 0.408 0.358
C1 0.252 0.037 0.365
C2 0.260 0.043 0.860
C3 0.740 0.957 0.140
C4 0.748 0.963 0.635
O1 0.061 0.679 0.100
O2 0.065 0.689 0.597
O3 0.248 0.423 0.595
O4 0.248 0.892 0.334
O5 0.250 0.079 0.985
O6 0.253 0.078 0.487
O7 0.253 0.151 0.766
O8 0.256 0.143 0.268
O9 0.259 0.579 0.303
O10 0.269 0.582 0.798
O11 0.271 0.426 0.094
O12 0.278 0.900 0.826
O13 0.427 0.698 0.094
O14 0.430 0.687 0.583
O15 0.570 0.313 0.417
O16 0.573 0.302 0.906
O17 0.722 0.100 0.174
O18 0.729 0.574 0.906
O19 0.731 0.418 0.202
O20 0.741 0.421 0.697
O21 0.744 0.857 0.732
O22 0.747 0.849 0.234
O23 0.747 0.922 0.513
O24 0.750 0.921 0.015
O25 0.752 0.108 0.666
O26 0.752 0.577 0.405
O27 0.935 0.311 0.403
O28 0.939 0.321 0.900

Computed properties:
ΔE_f (meV per atom): -2403
M_tot (μB/f.u.): 10.00
Space-group type: P-1
Relative energy among the computed polymorphs (meV per atom): 1
Crystal system: triclinic


8.
This record from the Materials Project describes an optimized crystal structure of NaLi2MnPCO7. The functional is PBE with a Hubbard U.

abc: 5.107 6.787 8.741
angles: 95.76 92.74 90.46
Fractional coordinates of all 26 atoms:
Na1 0.247 0.484 0.243
Na2 0.753 0.516 0.757
Li1 0.244 0.186 0.910
Li2 0.266 0.942 0.290
Li3 0.734 0.058 0.710
Li4 0.756 0.814 0.090
Mn1 0.280 0.769 0.648
Mn2 0.720 0.231 0.352
P1 0.220 0.251 0.586
P2 0.780 0.749 0.414
C1 0.224 0.767 0.963
C2 0.776 0.233 0.037
O1 0.049 0.783 0.851
O2 0.086 0.768 0.427
O3 0.142 0.761 0.101
O4 0.306 0.456 0.663
O5 0.319 0.212 0.419
O6 0.331 0.095 0.692
O7 0.470 0.763 0.934
O8 0.530 0.237 0.066
O9 0.669 0.905 0.308
O10 0.681 0.788 0.581
O11 0.694 0.544 0.337
O12 0.858 0.239 0.899
O13 0.914 0.232 0.573
O14 0.951 0.217 0.149

Computed properties:
ΔE_f (meV per atom): -2408
M_tot (μB/f.u.): 5.00
Space-group type: P-1
Relative energy among the computed polymorphs (meV per atom): 2
Crystal system: triclinic